Record 1
An optimized crystal structure of Tb5RhBr9. Source: the Materials Project database, functional PBE.

Results
Space-group type   No. 88
Formation energy   -1987 meV per atom
Calculated volume   3915.81 Å³/cell
Total moment   0.0 μB/f.u.

CIF file:
```
data_Tb5RhBr9
_symmetry_space_group_name_H-M 'P 1'
_symmetry_Int_Tables_number 1
_cell_length_a 24.933
_cell_length_b 24.933
_cell_length_c 24.933
_cell_angle_alpha 149.78
_cell_angle_beta 149.78
_cell_angle_gamma 43.26
loop_
_symmetry_equiv_pos_as_xyz
'x,y,z'
loop_
_atom_site_label
_atom_site_type_symbol
_atom_site_fract_x
_atom_site_fract_y
_atom_site_fract_z
Tb1 Tb 0.015 0.868 0.450
Tb2 Tb 0.020 0.048 0.879
Tb3 Tb 0.065 0.515 0.647
Tb4 Tb 0.082 0.435 0.950
Tb5 Tb 0.108 0.322 0.238
Tb6 Tb 0.146 0.084 0.154
Tb7 Tb 0.178 0.916 0.786
Tb8 Tb 0.250 0.207 0.141
Tb9 Tb 0.293 0.934 0.042
Tb10 Tb 0.331 0.859 0.379
Tb11 Tb 0.359 0.480 0.528
Tb12 Tb 0.368 0.418 0.853
Tb13 Tb 0.370 0.608 0.286
Tb14 Tb 0.391 0.250 0.458
Tb15 Tb 0.416 0.069 0.062
Tb16 Tb 0.416 0.130 0.738
Tb17 Tb 0.431 0.993 0.346
Tb18 Tb 0.434 0.891 0.641
Tb19 Tb 0.452 0.831 0.972
Tb20 Tb 0.493 0.646 0.562
Tb21 Tb 0.507 0.354 0.438
Tb22 Tb 0.548 0.169 0.028
Tb23 Tb 0.566 0.109 0.359
Tb24 Tb 0.569 0.007 0.654
Tb25 Tb 0.584 0.870 0.262
Tb26 Tb 0.584 0.931 0.938
Tb27 Tb 0.609 0.750 0.542
Tb28 Tb 0.630 0.392 0.714
Tb29 Tb 0.632 0.582 0.147
Tb30 Tb 0.641 0.520 0.472
Tb31 Tb 0.669 0.141 0.621
Tb32 Tb 0.707 0.066 0.958
Tb33 Tb 0.750 0.793 0.859
Tb34 Tb 0.822 0.084 0.214
Tb35 Tb 0.854 0.916 0.846
Tb36 Tb 0.892 0.678 0.762
Tb37 Tb 0.918 0.565 0.050
Tb38 Tb 0.935 0.485 0.353
Tb39 Tb 0.980 0.952 0.121
Tb40 Tb 0.985 0.132 0.550
Rh1 Rh 0.214 0.139 0.158
Rh2 Rh 0.361 0.019 0.075
Rh3 Rh 0.444 0.286 0.425
Rh4 Rh 0.481 0.056 0.342
Rh5 Rh 0.519 0.944 0.658
Rh6 Rh 0.556 0.714 0.575
Rh7 Rh 0.639 0.981 0.925
Rh8 Rh 0.786 0.861 0.842
Br1 Br 0.004 0.477 0.666
Br2 Br 0.023 0.189 0.527
Br3 Br 0.026 0.382 0.965
Br4 Br 0.036 0.283 0.253
Br5 Br 0.042 0.096 0.824
Br6 Br 0.057 0.023 0.141
Br7 Br 0.079 0.830 0.724
Br8 Br 0.083 0.938 0.465
Br9 Br 0.103 0.770 0.059
Br10 Br 0.107 0.673 0.342
Br11 Br 0.118 0.583 0.645
Br12 Br 0.145 0.421 0.251
Br13 Br 0.162 0.496 0.973
Br14 Br 0.169 0.235 0.842
Br15 Br 0.173 0.331 0.566
Br16 Br 0.212 0.045 0.441
Br17 Br 0.217 0.970 0.753
Br18 Br 0.227 0.873 0.050
Br19 Br 0.229 0.783 0.324
Br20 Br 0.265 0.607 0.934
Br21 Br 0.270 0.712 0.667
Br22 Br 0.283 0.458 0.554
Br23 Br 0.283 0.536 0.253
Br24 Br 0.311 0.338 0.834
Br25 Br 0.323 0.177 0.450
Br26 Br 0.323 0.273 0.146
Br27 Br 0.330 0.106 0.751
Br28 Br 0.373 0.823 0.646
Br29 Br 0.382 0.916 0.359
Br30 Br 0.394 0.645 0.224
Br31 Br 0.404 0.729 0.946
Br32 Br 0.416 0.557 0.534
Br33 Br 0.438 0.474 0.855
Br34 Br 0.455 0.397 0.167
Br35 Br 0.470 0.217 0.753
Br36 Br 0.477 0.118 0.034
Br37 Br 0.523 0.882 0.966
Br38 Br 0.530 0.783 0.247
Br39 Br 0.545 0.603 0.833
Br40 Br 0.562 0.526 0.145
Br41 Br 0.584 0.443 0.466
Br42 Br 0.596 0.271 0.054
Br43 Br 0.606 0.355 0.776
Br44 Br 0.618 0.084 0.641
Br45 Br 0.627 0.177 0.354
Br46 Br 0.670 0.894 0.249
Br47 Br 0.677 0.727 0.854
Br48 Br 0.677 0.823 0.550
Br49 Br 0.689 0.662 0.166
Br50 Br 0.717 0.464 0.747
Br51 Br 0.717 0.542 0.446
Br52 Br 0.730 0.288 0.333
Br53 Br 0.735 0.393 0.066
Br54 Br 0.771 0.217 0.676
Br55 Br 0.773 0.127 0.950
Br56 Br 0.783 0.030 0.247
Br57 Br 0.788 0.955 0.559
Br58 Br 0.827 0.669 0.434
Br59 Br 0.831 0.765 0.158
Br60 Br 0.838 0.504 0.027
Br61 Br 0.855 0.579 0.749
Br62 Br 0.882 0.417 0.355
Br63 Br 0.893 0.327 0.658
Br64 Br 0.897 0.230 0.941
Br65 Br 0.917 0.062 0.535
Br66 Br 0.921 0.170 0.276
Br67 Br 0.943 0.977 0.859
Br68 Br 0.958 0.904 0.176
Br69 Br 0.964 0.717 0.747
Br70 Br 0.974 0.618 0.035
Br71 Br 0.977 0.811 0.473
Br72 Br 0.996 0.523 0.334
```

Record 2
An optimized crystal structure of Tb6RhBr10. Source: the Materials Project database, functional PBE.

Results
Space-group type   No. 2
Formation energy   -1929 meV per atom
Calculated volume   569.32 Å³/cell

CIF file:
```
data_Tb6RhBr10
_symmetry_space_group_name_H-M 'P 1'
_symmetry_Int_Tables_number 1
_cell_length_a 7.420
_cell_length_b 9.265
_cell_length_c 9.295
_cell_angle_alpha 108.32
_cell_angle_beta 97.16
_cell_angle_gamma 105.43
loop_
_symmetry_equiv_pos_as_xyz
'x,y,z'
loop_
_atom_site_label
_atom_site_type_symbol
_atom_site_fract_x
_atom_site_fract_y
_atom_site_fract_z
Tb1 Tb 0.026 0.200 0.405
Tb2 Tb 0.124 0.545 0.254
Tb3 Tb 0.366 0.639 0.681
Tb4 Tb 0.634 0.361 0.319
Tb5 Tb 0.876 0.455 0.746
Tb6 Tb 0.974 0.800 0.595
Rh1 Rh 0.000 0.500 0.500
Br1 Br 0.086 0.870 0.329
Br2 Br 0.208 0.240 0.150
Br3 Br 0.252 0.584 0.958
Br4 Br 0.359 0.958 0.774
Br5 Br 0.452 0.325 0.585
Br6 Br 0.548 0.675 0.415
Br7 Br 0.641 0.042 0.226
Br8 Br 0.748 0.416 0.042
Br9 Br 0.792 0.760 0.850
Br10 Br 0.914 0.130 0.671
```

Record 3
An optimized crystal structure of Sc19Ru4Br28. Source: the Materials Project database, functional PBE.

Results
Space-group type   No. 160
Formation energy   -1714 meV per atom
Calculated volume   1417.89 Å³/cell
Total moment   1.0 μB/f.u.

CIF file:
```
data_Sc19Ru4Br28
_symmetry_space_group_name_H-M 'P 1'
_symmetry_Int_Tables_number 1
_cell_length_a 11.235
_cell_length_b 11.235
_cell_length_c 11.235
_cell_angle_alpha 89.29
_cell_angle_beta 89.29
_cell_angle_gamma 89.29
loop_
_symmetry_equiv_pos_as_xyz
'x,y,z'
loop_
_atom_site_label
_atom_site_type_symbol
_atom_site_fract_x
_atom_site_fract_y
_atom_site_fract_z
Sc1 Sc 0.011 0.011 0.011
Sc2 Sc 0.012 0.280 0.280
Sc3 Sc 0.032 0.032 0.469
Sc4 Sc 0.032 0.261 0.822
Sc5 Sc 0.032 0.469 0.032
Sc6 Sc 0.032 0.822 0.261
Sc7 Sc 0.261 0.032 0.822
Sc8 Sc 0.261 0.822 0.032
Sc9 Sc 0.264 0.264 0.472
Sc10 Sc 0.264 0.472 0.264
Sc11 Sc 0.280 0.012 0.280
Sc12 Sc 0.280 0.280 0.012
Sc13 Sc 0.469 0.032 0.032
Sc14 Sc 0.472 0.264 0.264
Sc15 Sc 0.525 0.767 0.767
Sc16 Sc 0.767 0.525 0.767
Sc17 Sc 0.767 0.767 0.525
Sc18 Sc 0.822 0.032 0.261
Sc19 Sc 0.822 0.261 0.032
Ru1 Ru 0.046 0.046 0.244
Ru2 Ru 0.046 0.244 0.046
Ru3 Ru 0.244 0.046 0.046
Ru4 Ru 0.244 0.244 0.244
Br1 Br 0.014 0.510 0.783
Br2 Br 0.014 0.783 0.510
Br3 Br 0.019 0.269 0.539
Br4 Br 0.019 0.539 0.269
Br5 Br 0.020 0.020 0.753
Br6 Br 0.020 0.753 0.020
Br7 Br 0.257 0.500 0.500
Br8 Br 0.269 0.019 0.539
Br9 Br 0.269 0.539 0.019
Br10 Br 0.272 0.272 0.752
Br11 Br 0.272 0.752 0.272
Br12 Br 0.279 0.784 0.784
Br13 Br 0.500 0.257 0.500
Br14 Br 0.500 0.500 0.257
Br15 Br 0.510 0.014 0.783
Br16 Br 0.510 0.783 0.014
Br17 Br 0.530 0.530 0.778
Br18 Br 0.530 0.778 0.530
Br19 Br 0.539 0.019 0.269
Br20 Br 0.539 0.269 0.019
Br21 Br 0.752 0.272 0.272
Br22 Br 0.753 0.020 0.020
Br23 Br 0.771 0.771 0.771
Br24 Br 0.778 0.530 0.530
Br25 Br 0.783 0.014 0.510
Br26 Br 0.783 0.510 0.014
Br27 Br 0.784 0.279 0.784
Br28 Br 0.784 0.784 0.279
```

Record 4
An optimized crystal structure of Y4RuBr5. Source: the Materials Project database, functional PBE.

Results
Space-group type   No. 134
Formation energy   -1685 meV per atom
Calculated volume   2453.11 Å³/cell

CIF file:
```
data_Y4RuBr5
_symmetry_space_group_name_H-M 'P 1'
_symmetry_Int_Tables_number 1
_cell_length_a 11.901
_cell_length_b 11.901
_cell_length_c 17.320
_cell_angle_alpha 90.00
_cell_angle_beta 90.00
_cell_angle_gamma 90.00
loop_
_symmetry_equiv_pos_as_xyz
'x,y,z'
loop_
_atom_site_label
_atom_site_type_symbol
_atom_site_fract_x
_atom_site_fract_y
_atom_site_fract_z
Y1 Y 0.079 0.134 0.173
Y2 Y 0.079 0.366 0.327
Y3 Y 0.119 0.619 0.842
Y4 Y 0.119 0.881 0.658
Y5 Y 0.134 0.079 0.827
Y6 Y 0.134 0.421 0.673
Y7 Y 0.137 0.637 0.523
Y8 Y 0.137 0.863 0.977
Y9 Y 0.363 0.637 0.977
Y10 Y 0.363 0.863 0.523
Y11 Y 0.366 0.079 0.673
Y12 Y 0.366 0.421 0.827
Y13 Y 0.381 0.619 0.658
Y14 Y 0.381 0.881 0.842
Y15 Y 0.421 0.134 0.327
Y16 Y 0.421 0.366 0.173
Y17 Y 0.579 0.634 0.827
Y18 Y 0.579 0.866 0.673
Y19 Y 0.619 0.119 0.158
Y20 Y 0.619 0.381 0.342
Y21 Y 0.634 0.579 0.173
Y22 Y 0.634 0.921 0.327
Y23 Y 0.637 0.137 0.477
Y24 Y 0.637 0.363 0.023
Y25 Y 0.863 0.137 0.023
Y26 Y 0.863 0.363 0.477
Y27 Y 0.866 0.579 0.327
Y28 Y 0.866 0.921 0.173
Y29 Y 0.881 0.119 0.342
Y30 Y 0.881 0.381 0.158
Y31 Y 0.921 0.634 0.673
Y32 Y 0.921 0.866 0.827
Ru1 Ru 0.147 0.647 0.680
Ru2 Ru 0.147 0.853 0.820
Ru3 Ru 0.353 0.647 0.820
Ru4 Ru 0.353 0.853 0.680
Ru5 Ru 0.647 0.147 0.320
Ru6 Ru 0.647 0.353 0.180
Ru7 Ru 0.853 0.147 0.180
Ru8 Ru 0.853 0.353 0.320
Br1 Br 0.109 0.609 0.340
Br2 Br 0.109 0.891 0.160
Br3 Br 0.117 0.117 0.000
Br4 Br 0.117 0.383 0.500
Br5 Br 0.125 0.625 0.019
Br6 Br 0.125 0.875 0.481
Br7 Br 0.127 0.150 0.663
Br8 Br 0.127 0.350 0.837
Br9 Br 0.150 0.127 0.337
Br10 Br 0.150 0.373 0.163
Br11 Br 0.350 0.127 0.163
Br12 Br 0.350 0.373 0.337
Br13 Br 0.373 0.150 0.837
Br14 Br 0.373 0.350 0.663
Br15 Br 0.375 0.625 0.481
Br16 Br 0.375 0.875 0.019
Br17 Br 0.383 0.117 0.500
Br18 Br 0.383 0.383 0.000
Br19 Br 0.391 0.609 0.160
Br20 Br 0.391 0.891 0.340
Br21 Br 0.609 0.109 0.660
Br22 Br 0.609 0.391 0.840
Br23 Br 0.617 0.617 0.000
Br24 Br 0.617 0.883 0.500
Br25 Br 0.625 0.125 0.981
Br26 Br 0.625 0.375 0.519
Br27 Br 0.627 0.650 0.337
Br28 Br 0.627 0.850 0.163
Br29 Br 0.650 0.627 0.663
Br30 Br 0.650 0.873 0.837
Br31 Br 0.850 0.627 0.837
Br32 Br 0.850 0.873 0.663
Br33 Br 0.873 0.650 0.163
Br34 Br 0.873 0.850 0.337
Br35 Br 0.875 0.125 0.519
Br36 Br 0.875 0.375 0.981
Br37 Br 0.883 0.617 0.500
Br38 Br 0.883 0.883 0.000
Br39 Br 0.891 0.109 0.840
Br40 Br 0.891 0.391 0.660
```

Record 5
An optimized crystal structure of Y5RuBr9. Source: the Materials Project database, functional PBE.

Results
Space-group type   No. 88
Formation energy   -1934 meV per atom
Calculated volume   3901.28 Å³/cell
Total moment   1.0 μB/f.u.

CIF file:
```
data_Y5RuBr9
_symmetry_space_group_name_H-M 'P 1'
_symmetry_Int_Tables_number 1
_cell_length_a 24.822
_cell_length_b 24.822
_cell_length_c 24.822
_cell_angle_alpha 149.62
_cell_angle_beta 149.62
_cell_angle_gamma 43.50
loop_
_symmetry_equiv_pos_as_xyz
'x,y,z'
loop_
_atom_site_label
_atom_site_type_symbol
_atom_site_fract_x
_atom_site_fract_y
_atom_site_fract_z
Y1 Y 0.006 0.852 0.437
Y2 Y 0.053 0.666 0.030
Y3 Y 0.069 0.506 0.654
Y4 Y 0.071 0.607 0.362
Y5 Y 0.085 0.372 0.266
Y6 Y 0.085 0.431 0.937
Y7 Y 0.107 0.246 0.536
Y8 Y 0.128 0.893 0.713
Y9 Y 0.132 0.083 0.148
Y10 Y 0.136 0.023 0.470
Y11 Y 0.166 0.636 0.613
Y12 Y 0.210 0.571 0.964
Y13 Y 0.254 0.290 0.862
Y14 Y 0.319 0.585 0.213
Y15 Y 0.352 0.415 0.846
Y16 Y 0.393 0.181 0.766
Y17 Y 0.417 0.065 0.049
Y18 Y 0.435 0.984 0.352
Y19 Y 0.477 0.447 0.113
Y20 Y 0.484 0.632 0.549
Y21 Y 0.516 0.368 0.451
Y22 Y 0.523 0.553 0.887
Y23 Y 0.565 0.016 0.648
Y24 Y 0.583 0.935 0.951
Y25 Y 0.607 0.819 0.234
Y26 Y 0.648 0.585 0.154
Y27 Y 0.681 0.415 0.787
Y28 Y 0.746 0.710 0.138
Y29 Y 0.790 0.429 0.036
Y30 Y 0.834 0.364 0.387
Y31 Y 0.864 0.977 0.530
Y32 Y 0.868 0.917 0.852
Y33 Y 0.872 0.107 0.287
Y34 Y 0.893 0.754 0.464
Y35 Y 0.915 0.569 0.063
Y36 Y 0.915 0.628 0.734
Y37 Y 0.929 0.393 0.638
Y38 Y 0.931 0.494 0.346
Y39 Y 0.947 0.334 0.970
Y40 Y 0.994 0.148 0.563
Ru1 Ru 0.025 0.443 0.664
Ru2 Ru 0.057 0.221 0.582
Ru3 Ru 0.139 0.475 0.918
Ru4 Ru 0.279 0.361 0.836
Ru5 Ru 0.721 0.639 0.164
Ru6 Ru 0.861 0.525 0.082
Ru7 Ru 0.943 0.779 0.418
Ru8 Ru 0.975 0.557 0.336
Br1 Br 0.022 0.383 0.967
Br2 Br 0.030 0.285 0.249
Br3 Br 0.046 0.104 0.834
Br4 Br 0.061 0.027 0.145
Br5 Br 0.084 0.946 0.467
Br6 Br 0.094 0.769 0.051
Br7 Br 0.107 0.851 0.772
Br8 Br 0.117 0.584 0.639
Br9 Br 0.126 0.678 0.354
Br10 Br 0.166 0.393 0.244
Br11 Br 0.176 0.228 0.854
Br12 Br 0.178 0.324 0.552
Br13 Br 0.189 0.163 0.167
Br14 Br 0.215 0.964 0.745
Br15 Br 0.218 0.043 0.449
Br16 Br 0.230 0.788 0.334
Br17 Br 0.235 0.892 0.065
Br18 Br 0.269 0.718 0.675
Br19 Br 0.272 0.626 0.948
Br20 Br 0.281 0.530 0.245
Br21 Br 0.288 0.454 0.558
Br22 Br 0.327 0.170 0.435
Br23 Br 0.330 0.265 0.157
Br24 Br 0.337 0.004 0.026
Br25 Br 0.351 0.079 0.744
Br26 Br 0.382 0.916 0.355
Br27 Br 0.392 0.827 0.657
Br28 Br 0.396 0.730 0.942
Br29 Br 0.416 0.561 0.534
Br30 Br 0.421 0.666 0.272
Br31 Br 0.446 0.478 0.861
Br32 Br 0.457 0.406 0.175
Br33 Br 0.464 0.219 0.749
Br34 Br 0.473 0.118 0.034
Br35 Br 0.479 0.311 0.474
Br36 Br 0.496 0.021 0.333
Br37 Br 0.504 0.979 0.667
Br38 Br 0.521 0.689 0.526
Br39 Br 0.527 0.882 0.966
Br40 Br 0.536 0.781 0.251
Br41 Br 0.543 0.594 0.825
Br42 Br 0.554 0.522 0.139
Br43 Br 0.579 0.334 0.728
Br44 Br 0.584 0.439 0.466
Br45 Br 0.604 0.270 0.058
Br46 Br 0.608 0.173 0.343
Br47 Br 0.618 0.084 0.645
Br48 Br 0.649 0.921 0.256
Br49 Br 0.663 0.996 0.974
Br50 Br 0.670 0.735 0.843
Br51 Br 0.673 0.830 0.565
Br52 Br 0.712 0.546 0.442
Br53 Br 0.719 0.470 0.755
Br54 Br 0.728 0.374 0.052
Br55 Br 0.731 0.282 0.325
Br56 Br 0.765 0.108 0.935
Br57 Br 0.770 0.212 0.666
Br58 Br 0.782 0.957 0.551
Br59 Br 0.785 0.036 0.255
Br60 Br 0.811 0.837 0.833
Br61 Br 0.822 0.676 0.448
Br62 Br 0.824 0.772 0.146
Br63 Br 0.834 0.607 0.756
Br64 Br 0.874 0.322 0.646
Br65 Br 0.883 0.416 0.361
Br66 Br 0.893 0.149 0.228
Br67 Br 0.906 0.231 0.949
Br68 Br 0.916 0.054 0.533
Br69 Br 0.939 0.973 0.855
Br70 Br 0.954 0.896 0.166
Br71 Br 0.970 0.715 0.751
Br72 Br 0.978 0.617 0.033
```

Record 6
An optimized crystal structure of SbSBr. Source: the Materials Project database, functional PBE.

Results
Space-group type   No. 33
Formation energy   -787 meV per atom
Calculated volume   360.26 Å³/cell
Total moment   0.0 μB/f.u.

CIF file:
```
data_SbSBr
_symmetry_space_group_name_H-M 'P 1'
_symmetry_Int_Tables_number 1
_cell_length_a 8.781
_cell_length_b 10.221
_cell_length_c 4.014
_cell_angle_alpha 90.00
_cell_angle_beta 90.00
_cell_angle_gamma 90.00
loop_
_symmetry_equiv_pos_as_xyz
'x,y,z'
loop_
_atom_site_label
_atom_site_type_symbol
_atom_site_fract_x
_atom_site_fract_y
_atom_site_fract_z
Sb1 Sb 0.108 0.130 0.000
Sb2 Sb 0.392 0.630 0.500
Sb3 Sb 0.608 0.370 0.000
Sb4 Sb 0.892 0.870 0.500
S1 S 0.157 0.958 0.492
S2 S 0.343 0.458 0.992
S3 S 0.657 0.542 0.492
S4 S 0.843 0.042 0.992
Br1 Br 0.013 0.688 0.987
Br2 Br 0.487 0.188 0.487
Br3 Br 0.513 0.812 0.987
Br4 Br 0.987 0.312 0.487
```